Entry from Materials Project: crystalline Zr2Pt at its relaxed geometry (PBE).

The final energy is -25.28 eV/f.u. As for the formation energy: -0.70 eV/atom. The crystal system is cubic.

The space group is Fd-3m (No. 227, origin choice 2) and the conventional cell measures 12.630, 12.630 and 12.630 Å, with angles of 90.00, 90.00 and 90.00 degrees. The inequivalent atoms are Zr at (0.000, 0.000, 0.000), Zr at (0.063, 0.375, 0.875) and Pt at (0.030, 0.030, 0.220).

=====

Entry from Materials Project: crystalline ZrPt3 at its relaxed geometry (PBE).

The final energy is -30.79 eV/f.u. As for the formation energy: -1.01 eV/atom. The crystal system is cubic.

The space group is Pm-3m (No. 221) and the conventional cell measures 4.056, 4.056 and 4.056 Å, with angles of 90.00, 90.00 and 90.00 degrees. The inequivalent atoms are Zr at (0.000, 0.000, 0.000) and Pt at (0.000, 0.500, 0.500).

=====

Entry from Materials Project: crystalline ZrPt8 at its relaxed geometry (PBE).

The final energy is -61.46 eV/f.u. As for the formation energy: -0.48 eV/atom. The crystal system is tetragonal.

The space group is I4/mmm (No. 139) and the conventional cell measures 8.499, 8.499 and 4.026 Å, with angles of 90.00, 90.00 and 90.00 degrees. The inequivalent atoms are Zr at (0.000, 0.000, 0.000), Pt at (0.000, 0.333, 0.000) and Pt at (0.165, 0.165, 0.500).

=====

Entry from Materials Project: crystalline Pu at its relaxed geometry (PBE).

The calculation puts the energy above the most stable polymorph in this dataset at 150 meV/atom. The final energy is -14.12 eV/f.u. As for the formation energy: 0.15 eV/atom. The crystal system is orthorhombic.

The space group is Cmce (No. 64) and the conventional cell measures 4.249, 9.364 and 3.782 Å, with angles of 90.00, 90.00 and 90.00 degrees. The inequivalent atoms are Pu at (0.000, 0.121, 0.105).

=====

Entry from Materials Project: crystalline Pu at its relaxed geometry (PBE).

The calculation puts the energy above the most stable polymorph in this dataset at 8 meV/atom. The magnetic moment comes out at 0.1 μB/f.u. The final energy is -14.26 eV/f.u. As for the formation energy: 0.01 eV/atom. The crystal system is monoclinic.

The space group is P2_1/m (No. 11) and the conventional cell measures 6.013, 4.555 and 10.952 Å, with angles of 90.00, 101.93 and 90.00 degrees. The inequivalent atoms are Pu at (0.018, 0.250, 0.118), Pu at (0.108, 0.250, 0.827), Pu at (0.134, 0.750, 0.609), Pu at (0.251, 0.750, 0.330), Pu at (0.302, 0.250, 0.427), Pu at (0.335, 0.250, 0.657), Pu at (0.350, 0.750, 0.037) and Pu at (0.443, 0.250, 0.137).

=====

Entry from Materials Project: crystalline Pu at its relaxed geometry (PBE).

The calculation puts the energy above the most stable polymorph in this dataset at 107 meV/atom. The final energy is -14.16 eV/f.u. As for the formation energy: 0.11 eV/atom. The crystal system is hexagonal.

The space group is P6_3/m (No. 176) and the conventional cell measures 6.1192, 6.1192 and 5.1828 Å, with angles of 90.00, 90.00 and 120.00 degrees. The inequivalent atoms are Pu at (0.0801, 0.7374, 0.2500) and Pu at (0.3333, 0.6667, 0.7500).

=====

Entry from Materials Project: crystalline Pu at its relaxed geometry (PBE).

The calculation puts the energy above the most stable polymorph in this dataset at 0 meV/atom. The final energy is -14.27 eV/f.u. As for the formation energy: 0.00 eV/atom. The crystal system is orthorhombic.

The space group is Fddd (No. 70, origin choice 2) and the conventional cell measures 3.586, 5.613 and 7.078 Å, with angles of 90.00, 90.00 and 90.00 degrees. The inequivalent atoms are Pu at (0.125, 0.125, 0.125).

=====

Entry from Materials Project: crystalline Pu at its relaxed geometry (PBE).

The calculation puts the energy above the most stable polymorph in this dataset at 0 meV/atom. The magnetic moment comes out at 0.0 μB/f.u. The final energy is -14.27 eV/f.u. As for the formation energy: 0.00 eV/atom. The crystal system is triclinic.

The space group is P-1 (No. 2) and the conventional cell measures 3.604, 6.355 and 6.897 Å, with angles of 73.77, 89.97 and 89.78 degrees. The inequivalent atoms are Pu at (0.117, 0.074, 0.328), Pu at (0.128, 0.442, 0.359), Pu at (0.373, 0.442, 0.860) and Pu at (0.383, 0.074, 0.828).

=====

Entry from Materials Project: crystalline Pu at its relaxed geometry (PBE).

The calculation puts the energy above the most stable polymorph in this dataset at 546 meV/atom. The magnetic moment comes out at 0.0 μB/f.u. The final energy is -13.72 eV/f.u. As for the formation energy: 0.55 eV/atom. The crystal system is cubic.

The space group is Im-3m (No. 229) and the conventional cell measures 3.207, 3.207 and 3.207 Å, with angles of 90.00, 90.00 and 90.00 degrees. The inequivalent atoms are Pu at (0.000, 0.000, 0.000).

=====

Entry from Materials Project: crystalline Pu at its relaxed geometry (PBE).

The calculation puts the energy above the most stable polymorph in this dataset at 89 meV/atom. The magnetic moment comes out at 0.0 μB/f.u. The final energy is -14.18 eV/f.u. As for the formation energy: 0.09 eV/atom. The crystal system is triclinic.

The space group is P-1 (No. 2) and the conventional cell measures 3.528, 4.544 and 4.805 Å, with angles of 110.75, 95.75 and 90.68 degrees. The inequivalent atoms are Pu at (0.082, 0.341, 0.248) and Pu at (0.357, 0.840, 0.252).

=====

Entry from Materials Project: crystalline Pu at its relaxed geometry (PBE).

The calculation puts the energy above the most stable polymorph in this dataset at 791 meV/atom. The magnetic moment comes out at 1.7 μB/f.u. The final energy is -13.48 eV/f.u. As for the formation energy: 0.79 eV/atom. The crystal system is monoclinic.

The space group is C2/m (No. 12) and the conventional cell measures 11.653, 10.336 and 7.806 Å, with angles of 90.00, 126.33 and 90.00 degrees. The inequivalent atoms are Pu at (0.000, 0.000, 0.000), Pu at (0.000, 0.269, 0.500), Pu at (0.094, 0.500, 0.271), Pu at (0.132, 0.000, 0.758), Pu at (0.140, 0.285, 0.025), Pu at (0.159, 0.150, 0.417) and Pu at (0.183, 0.500, 0.757).

=====

Entry from Materials Project: crystalline Pu at its relaxed geometry (PBE).

The calculation puts the energy above the most stable polymorph in this dataset at 277 meV/atom. The magnetic moment comes out at 5.9 μB/f.u. The final energy is -13.99 eV/f.u. As for the formation energy: 0.28 eV/atom. The crystal system is cubic.

The space group is Fm-3m (No. 225) and the conventional cell measures 4.788, 4.788 and 4.788 Å, with angles of 90.00, 90.00 and 90.00 degrees. The inequivalent atoms are Pu at (0.000, 0.000, 0.000).

=====

Entry from Materials Project: crystalline PuRh3 at its relaxed geometry (PBE).

The final energy is -38.02 eV/f.u. As for the formation energy: -0.41 eV/atom. The crystal system is cubic.

The space group is Pm-3m (No. 221) and the conventional cell measures 4.007, 4.007 and 4.007 Å, with angles of 90.00, 90.00 and 90.00 degrees. The inequivalent atoms are Pu at (0.000, 0.000, 0.000) and Rh at (0.000, 0.500, 0.500).

=====

Entry from Materials Project: crystalline Pu5Rh4 at its relaxed geometry (PBE).

The magnetic moment comes out at 10.0 μB/f.u. The final energy is -101.41 eV/f.u. As for the formation energy: -0.07 eV/atom. The crystal system is orthorhombic.

The space group is Pnma (No. 62) and the conventional cell measures 6.902, 14.592 and 7.334 Å, with angles of 90.00, 90.00 and 90.00 degrees. The inequivalent atoms are Pu at (0.006, 0.088, 0.180), Pu at (0.125, 0.250, 0.534), Pu at (0.126, 0.635, 0.347), Rh at (0.020, 0.250, 0.948), Rh at (0.199, 0.750, 0.712) and Rh at (0.202, 0.033, 0.544).

=====

Entry from Materials Project: crystalline Pu4Rh at its relaxed geometry (PBE).

The magnetic moment comes out at 22.0 μB/f.u. The final energy is -63.03 eV/f.u. As for the formation energy: 0.28 eV/atom. The crystal system is cubic.

The space group is Fd-3m (No. 227, origin choice 2) and the conventional cell measures 10.346, 10.346 and 10.346 Å, with angles of 90.00, 90.00 and 90.00 degrees. The inequivalent atoms are Pu at (0.018, 0.018, 0.232) and Rh at (0.125, 0.125, 0.625).

=====

Entry from Materials Project: crystalline PuSi2Rh2 at its relaxed geometry (PBE).

The final energy is -44.46 eV/f.u. As for the formation energy: -0.92 eV/atom. The crystal system is tetragonal.

The space group is I4/mmm (No. 139) and the conventional cell measures 4.022, 4.022 and 10.089 Å, with angles of 90.00, 90.00 and 90.00 degrees. The inequivalent atoms are Pu at (0.000, 0.000, 0.000), Si at (0.000, 0.000, 0.382) and Rh at (0.000, 0.500, 0.250).

=====

Entry from Materials Project: crystalline PuRu2 at its relaxed geometry (PBE).

The magnetic moment comes out at 0.0 μB/f.u. The final energy is -31.80 eV/f.u. As for the formation energy: 0.34 eV/atom. The crystal system is trigonal.

The space group is R-3m (No. 166, hexagonal axes) and the conventional cell measures 5.1855, 5.1855 and 13.0284 Å, with angles of 90.00, 90.00 and 120.00 degrees. The inequivalent atoms are Pu at (0.0000, 0.0000, 0.1316), Ru at (0.0000, 0.0000, 0.5000) and Ru at (0.0000, 0.5000, 0.0000).

=====

Entry from Materials Project: crystalline PuRu2 at its relaxed geometry (PBE).

The magnetic moment comes out at 0.0 μB/f.u. The final energy is -31.78 eV/f.u. As for the formation energy: 0.35 eV/atom. The crystal system is cubic.

The space group is Fd-3m (No. 227, origin choice 2) and the conventional cell measures 7.379, 7.379 and 7.379 Å, with angles of 90.00, 90.00 and 90.00 degrees. The inequivalent atoms are Pu at (0.125, 0.125, 0.125) and Ru at (0.000, 0.000, 0.500).

=====

Entry from Materials Project: crystalline Pu5Ru3 at its relaxed geometry (PBE).

The magnetic moment comes out at 20.0 μB/f.u. The final energy is -99.12 eV/f.u. As for the formation energy: 0.00 eV/atom. The crystal system is tetragonal.

The space group is I4/mcm (No. 140) and the conventional cell measures 10.823, 10.823 and 5.669 Å, with angles of 90.00, 90.00 and 90.00 degrees. The inequivalent atoms are Pu at (0.000, 0.500, 0.250), Pu at (0.088, 0.218, 0.000), Ru at (0.000, 0.000, 0.250) and Ru at (0.147, 0.353, 0.500).

=====

Entry from Materials Project: crystalline PuS3 at its relaxed geometry (PBE).

The magnetic moment comes out at 4.5 μB/f.u. The final energy is -29.65 eV/f.u. As for the formation energy: -1.12 eV/atom. The crystal system is tetragonal.

The space group is I4/mmm (No. 139) and the conventional cell measures 3.877, 3.877 and 9.590 Å, with angles of 90.00, 90.00 and 90.00 degrees. The inequivalent atoms are Pu at (0.000, 0.000, 0.000), S at (0.000, 0.000, 0.500) and S at (0.000, 0.500, 0.250).

=====

Entry from Materials Project: crystalline PuS2 at its relaxed geometry (PBE).

The final energy is -26.79 eV/f.u. As for the formation energy: -1.75 eV/atom. The crystal system is tetragonal.

The space group is P4/nmm (No. 129, origin choice 2) and the conventional cell measures 3.923, 3.923 and 7.678 Å, with angles of 90.00, 90.00 and 90.00 degrees. The inequivalent atoms are Pu at (0.250, 0.250, 0.231), S at (0.250, 0.250, 0.861) and S at (0.250, 0.750, 0.500).

=====

Entry from Materials Project: crystalline Pu3S2 at its relaxed geometry (PBE).

The magnetic moment comes out at 18.8 μB/f.u. The final energy is -56.87 eV/f.u. As for the formation energy: -1.36 eV/atom. The crystal system is orthorhombic.

The space group is Pnma (No. 62) and the conventional cell measures 7.723, 3.958 and 15.231 Å, with angles of 90.00, 90.00 and 90.00 degrees. The inequivalent atoms are Pu at (0.004, 0.250, 0.102), Pu at (0.123, 0.750, 0.431), Pu at (0.170, 0.250, 0.725), S at (0.101, 0.250, 0.289) and S at (0.238, 0.750, 0.043).